# 1
! MgAu5, relaxed, DFT GGA-PBE; values from VASP
! Space group: P-62m, No. 189
! Final energy in eV per atom: -3.255
! Calculated volume in Å³ per atom: 18.042
&SYSTEM
  ibrav = 0, nat = 6, ntyp = 2
/
ATOMIC_SPECIES
Mg 24.30 Mg.upf
Au 196.97 Au.upf
CELL_PARAMETERS angstrom
5.0888 0.0000 0.0000
-2.5444 4.4071 0.0000
0.0000 0.0000 4.8268
ATOMIC_POSITIONS angstrom
Mg 0.0000 0.0000 0.0000
Au -1.7078 2.9580 2.4134
Au 0.8366 1.4491 2.4134
Au 0.0000 2.9380 0.0000
Au 2.5444 1.4690 0.0000
Au 3.4156 0.0000 2.4134



# 2
! MgAu2, relaxed, DFT GGA-PBE; values from VASP
! Magnetization in μB per atom: 0.0000
! Space group: C2/m, No. 12
! Final energy in eV per atom: -3.167
! Calculated volume in Å³ per atom: 18.144
&SYSTEM
  ibrav = 0, nat = 6, ntyp = 2
/
ATOMIC_SPECIES
Mg 24.30 Mg.upf
Au 196.97 Au.upf
CELL_PARAMETERS angstrom
5.1287 -1.5395 0.0000
5.1287 1.5395 0.0000
-2.6841 0.0000 6.8939
ATOMIC_POSITIONS angstrom
Mg -0.5302 0.0000 1.8490
Mg 8.1036 0.0000 5.0449
Au 2.3649 0.0000 2.7573
Au 1.0553 0.0000 6.5094
Au 6.5180 0.0000 0.3845
Au 5.2084 0.0000 4.1366